No. 1
DFT (PBE-GGA) results for crystalline LiGaTe2 at its relaxed geometry.

Computed properties:
ΔH_f (0 K) in meV/atom: -839.7
Largest piezoelectric modulus in C/m²: 0.0

Lattice parameters (Å, degrees): 6.4085 6.4085 12.0092 90.00 90.00 90.00
Space group I-42d (No. 122)
Asymmetric unit:
Li 0.0000 0.0000 0.0000 (multiplicity 4)
Ga 0.0000 0.0000 0.5000 (multiplicity 4)
Te 0.2353 0.7500 0.6250 (multiplicity 8)

---

No. 2
DFT (PBE-GGA) results for crystalline NaGaBP2H3O10 at its relaxed geometry.

Computed properties:
ΔH_f (0 K) in meV/atom: -2097.6
Energy relative to the lowest polymorph listed for this composition in kJ per mole of atoms: 21.7
Spin magnetization in μB per cell: 0.00

Lattice parameters (Å, degrees): 14.7409 8.7144 7.9773 90.00 118.89 90.00
Space group C2/c (No. 15)
Asymmetric unit:
Na 0.0000 0.0711 0.2500 (multiplicity 4)
Ga 0.2500 0.2500 0.0000 (multiplicity 4)
B 0.0000 0.3941 0.2500 (multiplicity 4)
P 0.2004 0.0615 0.6754 (multiplicity 8)
H 0.1224 0.3925 0.1307 (multiplicity 8)
H 0.2500 0.2500 0.5000 (multiplicity 4)
O 0.0420 0.3847 0.1461 (multiplicity 8)
O 0.1143 0.0963 0.7227 (multiplicity 8)
O 0.1904 0.1641 0.5114 (multiplicity 8)
O 0.1966 0.4021 0.1203 (multiplicity 8)
O 0.2134 0.1086 0.1357 (multiplicity 8)

---

No. 3
DFT (PBE-GGA) results for crystalline LiTbTl2 at its relaxed geometry.

Computed properties:
ΔH_f (0 K) in meV/atom: -324.1

Lattice parameters (Å, degrees): 7.3721 7.3721 7.3721 90.00 90.00 90.00
Space group Fm-3m (No. 225)
Asymmetric unit:
Li 0.0000 0.0000 0.0000 (multiplicity 4)
Tb 0.0000 0.0000 0.5000 (multiplicity 4)
Tl 0.2500 0.2500 0.2500 (multiplicity 8)

---

Q: Which value of ΔH_f (0 K) does entry 2 give?
A: -2097.6 meV/atom

---

Q: What is the ΔH_f (0 K) in the first record?
A: -839.7 meV/atom

---

Please write out number 2 again, unchanged.
DFT (PBE-GGA) results for crystalline NaGaBP2H3O10 at its relaxed geometry.

Computed properties:
ΔH_f (0 K) in meV/atom: -2097.6
Energy relative to the lowest polymorph listed for this composition in kJ per mole of atoms: 21.7
Spin magnetization in μB per cell: 0.00

Lattice parameters (Å, degrees): 14.7409 8.7144 7.9773 90.00 118.89 90.00
Space group C2/c (No. 15)
Asymmetric unit:
Na 0.0000 0.0711 0.2500 (multiplicity 4)
Ga 0.2500 0.2500 0.0000 (multiplicity 4)
B 0.0000 0.3941 0.2500 (multiplicity 4)
P 0.2004 0.0615 0.6754 (multiplicity 8)
H 0.1224 0.3925 0.1307 (multiplicity 8)
H 0.2500 0.2500 0.5000 (multiplicity 4)
O 0.0420 0.3847 0.1461 (multiplicity 8)
O 0.1143 0.0963 0.7227 (multiplicity 8)
O 0.1904 0.1641 0.5114 (multiplicity 8)
O 0.1966 0.4021 0.1203 (multiplicity 8)
O 0.2134 0.1086 0.1357 (multiplicity 8)